Record 1
Here is a relaxed Ca2FeRhO6 crystal from Materials Project. Energies are from GGA+U.

Cell: 9.0529 9.3043 6.3609 Å, 90.00 93.86 90.00°
Space group C2 (No. 5)
Unique sites:
Ca (0.0000, 0.0000, 0.0000) [2 per cell]
Ca (0.0000, 0.2371, 0.5000) [2 per cell]
Ca (0.1784, 0.5618, 0.6371) [4 per cell]
Fe (0.0000, 0.3712, 0.0000) [2 per cell]
Fe (0.0000, 0.8709, 0.5000) [2 per cell]
Rh (0.2481, 0.3730, 0.2468) [4 per cell]
O (0.0463, 0.4588, 0.2930) [4 per cell]
O (0.0573, 0.7766, 0.7726) [4 per cell]
O (0.1146, 0.2028, 0.1678) [4 per cell]
O (0.1174, 0.0330, 0.6490) [4 per cell]
O (0.2175, 0.4379, 0.9580) [4 per cell]
O (0.2264, 0.8106, 0.4608) [4 per cell]

Properties
The calculation puts the calculated total energy at -6.18 eV/atom. The crystal system is monoclinic.

Record 2
Here is a relaxed YMg30NiO32 crystal from Materials Project. Energies are from GGA+U.

Cell: 8.5949 8.5949 8.5595 Å, 90.00 90.00 90.00°
Space group P4/mmm (No. 123)
Unique sites:
Y (0.0000, 0.0000, 0.0000) [1 per cell]
Mg (0.0000, 0.2543, 0.2599) [8 per cell]
Mg (0.0000, 0.5000, 0.0000) [2 per cell]
Mg (0.0000, 0.5000, 0.5000) [2 per cell]
Mg (0.2481, 0.2481, 0.5000) [4 per cell]
Mg (0.2502, 0.5000, 0.2521) [8 per cell]
Mg (0.2559, 0.2559, 0.0000) [4 per cell]
Mg (0.5000, 0.5000, 0.0000) [1 per cell]
Mg (0.5000, 0.5000, 0.5000) [1 per cell]
Ni (0.0000, 0.0000, 0.5000) [1 per cell]
O (0.0000, 0.0000, 0.2555) [2 per cell]
O (0.0000, 0.2593, 0.0000) [4 per cell]
O (0.0000, 0.2670, 0.5000) [4 per cell]
O (0.0000, 0.5000, 0.2482) [4 per cell]
O (0.2493, 0.2493, 0.2492) [8 per cell]
O (0.2518, 0.5000, 0.0000) [4 per cell]
O (0.2526, 0.5000, 0.5000) [4 per cell]
O (0.5000, 0.5000, 0.2490) [2 per cell]

Properties
The calculation puts the calculated total energy at -6.01 eV/atom. The crystal system is tetragonal.

Record 3
Here is a relaxed MgMn5CuO12 crystal from Materials Project. Energies are from GGA+U.

Cell: 5.1529 8.7346 9.9354 Å, 90.00 97.70 90.00°
Space group Cm (No. 8)
Unique sites:
Mg (0.0000, 0.0000, 0.0000) [2 per cell]
Mn (0.0884, 0.3326, 0.2557) [4 per cell]
Mn (0.0945, 0.0000, 0.2758) [2 per cell]
Mn (0.1201, 0.1683, 0.7538) [4 per cell]
Cu (0.1148, 0.5000, 0.7506) [2 per cell]
O (0.2081, 0.1567, 0.1543) [4 per cell]
O (0.2516, 0.5000, 0.1572) [2 per cell]
O (0.2815, 0.0000, 0.8644) [2 per cell]
O (0.3249, 0.3355, 0.8603) [4 per cell]
O (0.4191, 0.1721, 0.6579) [4 per cell]
O (0.4456, 0.5000, 0.6549) [2 per cell]
O (0.4524, 0.3285, 0.3594) [4 per cell]
O (0.4550, 0.0000, 0.3564) [2 per cell]

Properties
For the offset from the most stable computed form, the calculation gives 10.5 meV/atom. The crystal system is monoclinic.

Record 4
Here is a relaxed SrMnP2O7 crystal from Materials Project. Energies are from GGA+U.

Cell: 5.4504 8.5248 14.0035 Å, 90.00 112.79 90.00°
Space group P2_1/c (No. 14)
Unique sites:
Sr (0.0634, 0.1701, 0.2760) [4 per cell]
Mn (0.4266, 0.1457, 0.6040) [4 per cell]
P (0.2049, 0.7039, 0.0202) [4 per cell]
P (0.4091, 0.5335, 0.6619) [4 per cell]
O (0.0583, 0.1673, 0.4684) [4 per cell]
O (0.1951, 0.6859, 0.9095) [4 per cell]
O (0.2751, 0.6118, 0.5472) [4 per cell]
O (0.2896, 0.0531, 0.7996) [4 per cell]
O (0.2898, 0.6180, 0.7318) [4 per cell]
O (0.3180, 0.1377, 0.1491) [4 per cell]
O (0.4379, 0.6087, 0.0979) [4 per cell]

Properties
The calculation puts the calculated total energy at -7.45 eV/atom. The crystal system is monoclinic.

Record 5
Here is a relaxed VPO5 crystal from Materials Project. Energies are from GGA+U.

Cell: 9.3761 9.3761 8.7459 Å, 90.00 90.00 90.00°
Space group P4_2/mbc (No. 135)
Unique sites:
V (0.0862, 0.2503, 0.0000) [8 per cell]
P (0.0000, 0.0000, 0.2500) [4 per cell]
P (0.0000, 0.5000, 0.2500) [4 per cell]
O (0.0044, 0.6351, 0.1499) [16 per cell]
O (0.0886, 0.1025, 0.1499) [16 per cell]
O (0.1944, 0.2522, 0.5000) [8 per cell]

Properties
For the offset from the most stable computed form, the calculation gives 0.2 meV/atom. The crystal system is tetragonal.

Record 6
Here is a relaxed CsZnCoF6 crystal from Materials Project. Energies are from GGA+U.

Cell: 7.3872 7.4850 10.5855 Å, 90.00 90.00 90.00°
Space group Imma (No. 74)
Unique sites:
Cs (0.0000, 0.2500, 0.1228) [4 per cell]
Zn (0.2500, 0.2500, 0.7500) [4 per cell]
Co (0.0000, 0.0000, 0.5000) [4 per cell]
F (0.0000, 0.2500, 0.4349) [4 per cell]
F (0.0000, 0.2500, 0.8221) [4 per cell]
F (0.1857, 0.0495, 0.6178) [16 per cell]

Properties
The calculation puts the calculated total energy at -4.34 eV/atom. The crystal system is orthorhombic.

Record 7
Here is a relaxed NiF3 crystal from Materials Project. Energies are from GGA+U.

Cell: 4.9366 4.9366 13.1943 Å, 90.00 90.00 120.00°
Space group R-3c (No. 167, hexagonal axes)
Unique sites:
Ni (0.0000, 0.0000, 0.0000) [6 per cell]
F (0.0000, 0.3681, 0.2500) [18 per cell]

Properties
The calculation puts the calculated total energy at -3.73 eV/atom. The crystal system is trigonal.

Record 8
Here is a relaxed LiMn3P3O13 crystal from Materials Project. Energies are from GGA+U.

Cell: 7.5093 6.2213 10.5757 Å, 90.00 99.37 90.00°
Space group P2_1/m (No. 11)
Unique sites:
Li (0.1335, 0.2500, 0.1304) [2 per cell]
Mn (0.1346, 0.2500, 0.8021) [2 per cell]
Mn (0.2645, 0.7500, 0.4506) [2 per cell]
Mn (0.5000, 0.0000, 0.0000) [2 per cell]
P (0.1942, 0.7500, 0.1236) [2 per cell]
P (0.2295, 0.7500, 0.7697) [2 per cell]
P (0.2901, 0.2500, 0.5275) [2 per cell]
O (0.0036, 0.2500, 0.9524) [2 per cell]
O (0.1108, 0.5584, 0.8002) [4 per cell]
O (0.1459, 0.7500, 0.2619) [2 per cell]
O (0.1597, 0.2500, 0.6287) [2 per cell]
O (0.2384, 0.0546, 0.4374) [4 per cell]
O (0.2807, 0.7500, 0.6371) [2 per cell]
O (0.2938, 0.5419, 0.0984) [4 per cell]
O (0.3705, 0.2500, 0.9071) [2 per cell]
O (0.4062, 0.7500, 0.8721) [2 per cell]
O (0.4847, 0.2500, 0.5949) [2 per cell]

Properties
The calculation puts the calculated total energy at -7.20 eV/atom. The crystal system is monoclinic.